A relaxed structure of MgSi2, computed with PBE-GGA.

abc: 3.6316 5.3324 11.8657
angles: 85.56 90.00 90.00
Element x y z (fractional)
1 Si 0.0000 0.6928 0.1191
2 Si 0.5000 0.4773 0.0421
3 Si 0.5000 0.8678 0.7172
4 Si 0.5000 0.2574 0.3492
5 Si 0.0000 0.7597 0.5958
6 Mg 0.5000 0.9806 0.9606
7 Si 0.0000 0.2097 0.7922
8 Mg 0.0000 0.1687 0.1780
9 Si 0.0000 0.0971 0.4557
10 Mg 0.0000 0.6515 0.3562
11 Si 0.5000 0.4817 0.8401
12 Mg 0.5000 0.3557 0.5938

Calculated values
Formation energy from the elements: 15.02 kJ per mole of atoms
E above lowest polymorph: 0.078 eV per atom